Below is a geometry-optimized CaC2 structure, with properties calculated at the r2SCAN level.

Cell lengths 4.747, 4.747, 4.747 Å; angles 90.00, 90.00, 133.61 degrees
Sites, in units of the cell vectors:
Ca1 0.854 0.146 0.250
Ca2 0.146 0.854 0.750
C1 0.438 0.562 0.897
C2 0.438 0.562 0.603
C3 0.562 0.438 0.397
C4 0.562 0.438 0.103

The space group is Cmcm.

***

Below is a geometry-optimized CaH16C4N8Cl2O4 structure, with properties calculated at the r2SCAN level.

Cell lengths 12.542, 7.630, 8.196 Å; angles 66.21, 90.00, 90.00 degrees
Sites, in units of the cell vectors:
H1 0.825 0.945 0.834
H2 0.923 0.329 0.445
O1 0.896 0.272 0.958
H3 0.247 0.949 0.046
N1 0.200 0.962 0.703
Cl1 0.427 0.716 0.316
H4 0.175 0.055 0.166
C1 0.802 0.492 0.295
C2 0.599 0.660 0.878
H5 0.747 0.551 0.954
N2 0.700 0.538 0.297
N3 0.849 0.380 0.450
H6 0.834 0.133 0.182
H7 0.657 0.488 0.412
N4 0.317 0.450 0.120
O2 0.145 0.443 0.850
H8 0.753 0.051 0.954
O3 0.396 0.228 0.042
O4 0.355 0.943 0.850
C3 0.198 0.508 0.705
H9 0.077 0.671 0.555
H10 0.507 0.552 0.734
H11 0.157 0.012 0.588
Cl2 0.573 0.284 0.684
Cl3 0.927 0.784 0.684
O5 0.604 0.772 0.958
N5 0.988 0.152 0.786
C4 0.698 0.992 0.295
H12 0.947 0.774 0.206
H13 0.553 0.274 0.206
H14 0.343 0.512 0.588
H15 0.305 0.184 0.439
N6 0.800 0.038 0.297
H16 0.423 0.171 0.555
N7 0.651 0.880 0.450
H17 0.577 0.829 0.445
H18 0.993 0.052 0.734
O6 0.104 0.728 0.042
N8 0.151 0.620 0.550
H19 0.447 0.726 0.794
Cl4 0.073 0.216 0.316
N9 0.512 0.652 0.786
N10 0.488 0.348 0.214
Ca1 0.500 0.000 0.000
Ca2 0.000 0.500 0.000
N11 0.183 0.950 0.120
H20 0.695 0.816 0.561
H21 0.053 0.226 0.794
H22 0.195 0.684 0.439
H23 0.325 0.555 0.166
H24 0.493 0.448 0.266
H25 0.253 0.449 0.046
H26 0.843 0.988 0.412
C5 0.901 0.160 0.878
N12 0.012 0.848 0.214
H27 0.666 0.633 0.182
C6 0.401 0.340 0.122
O7 0.855 0.557 0.150
O8 0.645 0.057 0.150
N13 0.349 0.120 0.550
C7 0.099 0.840 0.122
N14 0.683 0.550 0.880
H28 0.675 0.445 0.834
N15 0.300 0.462 0.703
H29 0.166 0.867 0.818
H30 0.007 0.948 0.266
H31 0.334 0.367 0.818
N16 0.817 0.050 0.880
C8 0.302 0.008 0.705
H32 0.805 0.316 0.561

The space group is P2_1/c.

***

Below is a geometry-optimized CaH2CClO3 structure, with properties calculated at the r2SCAN level.

Cell lengths 6.119, 6.119, 6.939 Å; angles 58.24, 58.24, 73.56 degrees
Sites, in units of the cell vectors:
H1 0.183 0.634 0.031
C1 0.394 0.606 0.500
O1 0.429 0.794 0.508
Ca1 0.865 0.865 0.385
O2 0.809 0.191 0.000
O3 0.206 0.571 0.492
C2 0.606 0.394 0.500
O4 0.571 0.206 0.492
O5 0.191 0.809 0.000
Cl1 0.237 0.237 0.120
H2 0.817 0.366 0.969
H3 0.366 0.817 0.969
O6 0.794 0.429 0.508
Ca2 0.135 0.135 0.615
H4 0.634 0.183 0.031
Cl2 0.763 0.763 0.880

The space group is C2/m.

***

Below is a geometry-optimized RbCaCO3F structure, with properties calculated at the r2SCAN level.

Cell lengths 9.170, 9.170, 4.441 Å; angles 90.00, 90.00, 120.00 degrees
Sites, in units of the cell vectors:
O1 0.485 0.795 0.500
Ca1 0.000 0.388 0.500
F1 0.614 0.614 0.000
O2 0.000 0.140 0.500
Rb1 0.000 0.718 0.000
C1 0.000 0.000 0.500
F2 0.386 0.000 0.000
Rb2 0.718 0.000 0.000
O3 0.140 0.000 0.500
O4 0.860 0.860 0.500
O5 0.205 0.690 0.500
O6 0.690 0.205 0.500
Ca2 0.388 0.000 0.500
O7 0.515 0.310 0.500
O8 0.310 0.515 0.500
C2 0.333 0.667 0.500
F3 0.000 0.386 0.000
Ca3 0.612 0.612 0.500
C3 0.667 0.333 0.500
O9 0.795 0.485 0.500
Rb3 0.282 0.282 0.000

The space group is P-62m.

***

Below is a geometry-optimized Na2CaH4C2O8 structure, with properties calculated at the r2SCAN level.

Cell lengths 11.438, 10.409, 6.357 Å; angles 82.20, 64.36, 33.41 degrees
Sites, in units of the cell vectors:
O1 0.015 0.753 0.990
O2 0.242 0.990 0.753
H1 0.781 0.742 0.167
C1 0.022 0.206 0.314
Na1 0.915 0.807 0.713
O3 0.880 0.432 0.361
O4 0.923 0.178 0.350
O5 0.818 0.370 0.923
C2 0.458 0.314 0.206
Na2 0.443 0.334 0.685
O6 0.701 0.788 0.083
O7 0.889 0.923 0.370
H2 0.631 0.414 0.646
O8 0.260 0.008 0.235
O9 0.428 0.084 0.788
O10 0.497 0.235 0.008
Ca1 0.001 0.999 0.999
Na3 0.537 0.685 0.335
Na4 0.564 0.713 0.807
O11 0.327 0.361 0.432
H3 0.309 0.646 0.414
H4 0.083 0.941 0.469
O12 0.166 0.822 0.549
O13 0.900 0.701 0.327
O14 0.071 0.327 0.701
Ca2 0.251 0.249 0.249
H5 0.604 0.941 0.619
H6 0.508 0.469 0.941
H7 0.836 0.619 0.941
C3 0.936 0.792 0.229
O15 0.549 0.350 0.178
H8 0.309 0.167 0.742
C4 0.044 0.229 0.792
O16 0.462 0.549 0.822

The space group is Fdd2.

***

Below is a geometry-optimized CaH12CO9 structure, with properties calculated at the r2SCAN level.

Cell lengths 5.966, 5.966, 10.801 Å; angles 75.83, 75.83, 87.23 degrees
Sites, in units of the cell vectors:
H1 0.504 0.177 0.095
H2 0.399 0.221 0.526
H3 0.096 0.337 0.857
O1 0.642 0.358 0.750
H4 0.616 0.638 0.667
O2 0.237 0.338 0.117
H5 0.266 0.886 0.000
O3 0.851 0.093 0.657
H6 0.362 0.384 0.833
H7 0.725 0.533 0.850
O4 0.652 0.096 0.093
H8 0.886 0.266 0.500
H9 0.734 0.114 0.000
O5 0.553 0.792 0.636
O6 0.096 0.652 0.593
H10 0.533 0.725 0.350
H11 0.467 0.275 0.650
H12 0.663 0.904 0.643
O7 0.447 0.208 0.364
H13 0.275 0.467 0.150
H14 0.904 0.663 0.143
H15 0.384 0.362 0.333
C1 0.201 0.799 0.250
H16 0.601 0.779 0.474
H17 0.337 0.096 0.357
H18 0.638 0.616 0.167
H19 0.114 0.734 0.500
O8 0.338 0.237 0.617
O9 0.662 0.763 0.383
H20 0.221 0.399 0.026
H21 0.496 0.823 0.905
H22 0.823 0.496 0.405
Ca1 0.145 0.855 0.750
O10 0.904 0.348 0.407
O11 0.348 0.904 0.907
O12 0.149 0.907 0.343
C2 0.799 0.201 0.750
O13 0.907 0.149 0.843
O14 0.358 0.642 0.250
O15 0.093 0.851 0.157
O16 0.763 0.662 0.883
O17 0.208 0.447 0.864
H23 0.177 0.504 0.595
H24 0.779 0.601 0.974
O18 0.792 0.553 0.136
Ca2 0.855 0.145 0.250

The space group is C2/c.

***

Below is a geometry-optimized CaH2CO4 structure, with properties calculated at the r2SCAN level.

Cell lengths 10.475, 10.475, 7.524 Å; angles 90.00, 90.00, 120.00 degrees
Sites, in units of the cell vectors:
O1 0.686 0.569 0.943
O2 0.734 0.869 0.837
O3 0.088 0.642 0.423
Ca1 0.573 0.424 0.675
H1 0.876 0.662 0.591
C1 0.822 0.919 0.295
O4 0.998 0.938 0.545
O5 0.210 0.237 0.068
C2 0.081 0.903 0.629
O6 0.024 0.247 0.933
H2 0.997 0.556 0.920
Ca2 0.851 0.427 0.342
C3 0.097 0.178 0.962
O7 0.223 0.976 0.600
H3 0.217 0.331 0.581
C4 0.770 0.259 0.714
O8 0.068 0.542 0.847
Ca3 0.184 0.094 0.329
O9 0.883 0.314 0.610
O10 0.419 0.302 0.411
H4 0.120 0.332 0.423
O11 0.276 0.606 0.476
O12 0.475 0.932 0.514
O13 0.095 0.455 0.290
O14 0.611 0.269 0.462
O15 0.134 0.266 0.504
C5 0.156 0.570 0.394
H5 0.668 0.788 0.757
H6 0.886 0.217 0.099
H7 0.444 0.441 0.253
H8 0.669 0.886 0.914
O16 0.545 0.640 0.624
Ca4 0.250 0.768 0.688
H9 0.114 0.783 0.247
O17 0.431 0.117 0.277
O18 0.358 0.445 0.757
O19 0.028 0.790 0.735
H10 0.559 0.003 0.586
H11 0.006 0.464 0.762
Ca5 0.909 0.816 0.996
O20 0.394 0.670 0.809
H12 0.786 0.124 0.257
H13 0.536 0.542 0.095
O21 0.330 0.724 0.143
H14 0.338 0.214 0.924
O22 0.941 0.002 0.211
O23 0.062 0.059 0.878
O24 0.131 0.866 0.171
C6 0.414 0.844 0.061
O25 0.731 0.341 0.796
H15 0.212 0.880 0.090
Ca6 0.232 0.482 0.021
O26 0.763 0.972 0.401
H16 0.783 0.669 0.432
Ca7 0.518 0.750 0.354
Ca8 0.906 0.091 0.663
O27 0.795 0.599 0.509
O28 0.458 0.525 0.180
C7 0.741 0.510 0.048
Ca9 0.576 0.149 0.009
O29 0.659 0.389 0.129
O30 0.804 0.205 0.176
O31 0.698 0.118 0.745
O32 0.753 0.777 0.266
O33 0.401 0.196 0.842
O34 0.555 0.912 0.090
H17 0.458 0.994 0.428
O35 0.882 0.581 0.078
O36 0.360 0.905 0.957
H18 0.331 0.114 0.766
C8 0.490 0.230 0.381
C9 0.430 0.586 0.728

The space group is P3_1.

***

Below is a geometry-optimized CaH2CO4 structure, with properties calculated at the r2SCAN level.

Cell lengths 6.057, 6.057, 7.514 Å; angles 90.00, 90.00, 120.00 degrees
Sites, in units of the cell vectors:
Ca1 0.273 0.990 0.997
O1 0.071 0.954 0.453
Ca2 0.717 0.727 0.663
O2 0.883 0.929 0.120
O3 0.256 0.455 0.605
H1 0.888 0.446 0.904
H2 0.464 0.919 0.412
C1 0.250 0.279 0.708
O4 0.545 0.801 0.939
O5 0.991 0.598 0.831
C2 0.721 0.972 0.041
O6 0.606 0.009 0.497
H3 0.081 0.545 0.746
O7 0.046 0.117 0.787
O8 0.817 0.539 0.405
C3 0.028 0.750 0.375
Ca3 0.010 0.283 0.330
O9 0.461 0.277 0.738
H4 0.554 0.442 0.237
H5 0.558 0.112 0.571
O10 0.723 0.183 0.072
O11 0.199 0.744 0.272
O12 0.402 0.394 0.164
H6 0.455 0.536 0.079

The space group is P3_1.

***

Looking at calculated formation energy for the records above, in order, we have -0.07 -0.75 -1.78 -2.60 -1.75 -1.34 -1.90 -1.90 eV per atom.